# 1
DFT (PBE) results for an optimized crystal structure of Lu12Co31Sn16.

a = 7.454 Å, b = 8.707 Å, c = 15.174 Å
α = 90.00°, β = 89.96°, γ = 90.00°
Fractional coordinates of all 59 atoms:
Lu 0.498 0.288 0.238
Lu 0.505 0.785 0.739
Lu 0.498 0.712 0.238
Lu 0.505 0.215 0.739
Lu 0.499 0.500 0.025
Lu 0.505 0.000 0.523
Lu 0.999 0.213 0.262
Lu 0.995 0.710 0.763
Lu 0.999 0.787 0.262
Lu 0.995 0.290 0.763
Lu 0.996 0.000 0.473
Lu 0.999 0.500 0.976
Co 0.032 0.651 0.450
Co 0.033 0.150 0.949
Co 0.032 0.349 0.450
Co 0.032 0.850 0.949
Co 0.029 0.000 0.100
Co 0.033 0.500 0.599
Co 0.530 0.849 0.050
Co 0.529 0.348 0.551
Co 0.530 0.151 0.050
Co 0.529 0.652 0.551
Co 0.529 0.500 0.401
Co 0.528 0.000 0.900
Co 0.340 0.743 0.421
Co 0.341 0.241 0.918
Co 0.339 0.257 0.421
Co 0.341 0.759 0.918
Co 0.342 0.000 0.162
Co 0.339 0.500 0.661
Co 0.844 0.758 0.080
Co 0.848 0.258 0.581
Co 0.844 0.242 0.080
Co 0.848 0.742 0.581
Co 0.845 0.500 0.338
Co 0.848 0.000 0.838
Co 0.787 0.000 0.999
Co 0.786 0.500 0.500
Co 0.286 0.000 0.999
Co 0.285 0.500 0.502
Co 0.657 0.000 0.333
Co 0.658 0.500 0.832
Co 0.152 0.500 0.167
Sn 0.712 0.756 0.414
Sn 0.712 0.258 0.914
Sn 0.712 0.244 0.414
Sn 0.712 0.742 0.914
Sn 0.711 0.000 0.172
Sn 0.711 0.500 0.671
Sn 0.214 0.742 0.086
Sn 0.210 0.229 0.591
Sn 0.214 0.258 0.086
Sn 0.210 0.771 0.591
Sn 0.214 0.500 0.328
Sn 0.209 0.000 0.820
Sn 0.303 0.000 0.333
Sn 0.303 0.500 0.834
Sn 0.801 0.500 0.167
Sn 0.805 0.000 0.666

Size of the total moment   26.1 μB per formula unit
Total energy   -355.52 eV/f.u.

=====

# 2
DFT (PBE) results for an optimized crystal structure of MgCo.

a = 8.028 Å, b = 8.028 Å, c = 8.028 Å
α = 60.00°, β = 60.00°, γ = 60.00°
Fractional coordinates of all 24 atoms:
Mg 0.549 0.549 0.951
Mg 0.951 0.549 0.951
Mg 0.951 0.549 0.549
Mg 0.299 0.701 0.701
Mg 0.701 0.701 0.299
Mg 0.299 0.701 0.299
Mg 0.951 0.951 0.549
Mg 0.549 0.951 0.549
Mg 0.549 0.951 0.951
Mg 0.299 0.299 0.701
Mg 0.701 0.299 0.299
Mg 0.701 0.299 0.701
Co 0.125 0.625 0.125
Co 0.923 0.923 0.923
Co 0.923 0.923 0.232
Co 0.232 0.923 0.923
Co 0.327 0.018 0.327
Co 0.625 0.125 0.125
Co 0.125 0.125 0.625
Co 0.125 0.125 0.125
Co 0.923 0.232 0.923
Co 0.327 0.327 0.327
Co 0.018 0.327 0.327
Co 0.327 0.327 0.018

Size of the total moment   0.4 μB per formula unit
Total energy   -8.70 eV/f.u.

=====

# 3
DFT (PBE) results for an optimized crystal structure of MgCo3.

a = 5.215 Å, b = 5.215 Å, c = 4.198 Å
α = 90.00°, β = 90.00°, γ = 120.00°
Fractional coordinates of all 8 atoms:
Mg 0.667 0.333 0.250
Mg 0.333 0.667 0.750
Co 0.159 0.319 0.250
Co 0.681 0.841 0.250
Co 0.159 0.841 0.250
Co 0.841 0.159 0.750
Co 0.319 0.159 0.750
Co 0.841 0.681 0.750

Size of the total moment   4.5 μB per formula unit
Total energy   -22.26 eV/f.u.

=====

# 4
DFT (PBE) results for an optimized crystal structure of Mg14MnCo.

a = 6.230 Å, b = 6.230 Å, c = 9.850 Å
α = 90.00°, β = 90.00°, γ = 120.00°
Fractional coordinates of all 16 atoms:
Mg 0.170 0.835 0.125
Mg 0.165 0.832 0.625
Mg 0.665 0.330 0.125
Mg 0.668 0.335 0.625
Mg 0.665 0.835 0.125
Mg 0.668 0.832 0.625
Mg 0.325 0.175 0.382
Mg 0.325 0.175 0.868
Mg 0.325 0.651 0.382
Mg 0.325 0.651 0.868
Mg 0.849 0.175 0.382
Mg 0.849 0.175 0.868
Mg 0.833 0.667 0.373
Mg 0.833 0.667 0.877
Mn 0.167 0.333 0.125
Co 0.167 0.333 0.625

Size of the total moment   5.1 μB per formula unit
Total energy   -36.80 eV/f.u.
Polymorph energy (0 for the lowest one)   0 meV per atom

=====

# 5
DFT (PBE) results for an optimized crystal structure of Mg14MnCo.

a = 6.200 Å, b = 6.189 Å, c = 9.769 Å
α = 90.00°, β = 90.00°, γ = 119.94°
Fractional coordinates of all 16 atoms:
Mg 0.171 0.336 0.625
Mg 0.171 0.835 0.625
Mg 0.682 0.339 0.125
Mg 0.663 0.332 0.625
Mg 0.682 0.843 0.125
Mg 0.663 0.831 0.625
Mg 0.320 0.160 0.349
Mg 0.320 0.160 0.901
Mg 0.320 0.660 0.349
Mg 0.320 0.660 0.901
Mg 0.844 0.172 0.369
Mg 0.844 0.172 0.881
Mg 0.845 0.672 0.366
Mg 0.845 0.672 0.884
Mn 0.154 0.327 0.125
Co 0.155 0.827 0.125

Size of the total moment   0.7 μB per formula unit
Total energy   -35.83 eV/f.u.
Polymorph energy (0 for the lowest one)   61 meV per atom

=====

# 6
DFT (PBE) results for an optimized crystal structure of MgMnCoS4.

a = 7.067 Å, b = 7.010 Å, c = 6.994 Å
α = 59.69°, β = 59.73°, γ = 59.81°
Fractional coordinates of all 14 atoms:
Mg 0.874 0.876 0.876
Mg 0.126 0.124 0.124
Mn 0.500 0.500 0.000
Mn 0.500 0.000 0.500
Co 0.500 0.500 0.500
Co 0.000 0.500 0.500
S 0.741 0.730 0.731
S 0.265 0.274 0.697
S 0.265 0.697 0.273
S 0.702 0.270 0.269
S 0.735 0.303 0.727
S 0.298 0.730 0.731
S 0.259 0.270 0.269
S 0.736 0.726 0.303

Size of the total moment   2.0 μB per formula unit
Total energy   -39.12 eV/f.u.

=====

# 7
DFT (PBE) results for an optimized crystal structure of Mg14CoMo.

a = 6.261 Å, b = 6.202 Å, c = 9.867 Å
α = 90.00°, β = 90.00°, γ = 119.69°
Fractional coordinates of all 16 atoms:
Mg 0.168 0.334 0.625
Mg 0.170 0.835 0.625
Mg 0.666 0.337 0.125
Mg 0.663 0.330 0.625
Mg 0.666 0.829 0.125
Mg 0.663 0.833 0.625
Mg 0.325 0.163 0.356
Mg 0.325 0.163 0.894
Mg 0.325 0.662 0.356
Mg 0.325 0.662 0.894
Mg 0.851 0.175 0.362
Mg 0.851 0.175 0.888
Mg 0.846 0.673 0.371
Mg 0.846 0.673 0.879
Co 0.157 0.328 0.125
Mo 0.154 0.827 0.125

Size of the total moment   1.8 μB per formula unit
Total energy   -37.92 eV/f.u.
Polymorph energy (0 for the lowest one)   0 meV per atom

=====

# 8
DFT (PBE) results for an optimized crystal structure of Mg14CoMo.

a = 6.208 Å, b = 6.208 Å, c = 9.732 Å
α = 90.00°, β = 90.00°, γ = 120.00°
Fractional coordinates of all 16 atoms:
Mg 0.166 0.833 0.125
Mg 0.171 0.835 0.625
Mg 0.667 0.334 0.125
Mg 0.665 0.329 0.625
Mg 0.667 0.833 0.125
Mg 0.665 0.835 0.625
Mg 0.323 0.177 0.372
Mg 0.323 0.177 0.878
Mg 0.323 0.646 0.372
Mg 0.323 0.646 0.878
Mg 0.854 0.177 0.372
Mg 0.854 0.177 0.878
Mg 0.833 0.667 0.378
Mg 0.833 0.667 0.872
Co 0.167 0.333 0.125
Mo 0.167 0.333 0.625

Size of the total moment   0.1 μB per formula unit
Total energy   -37.68 eV/f.u.
Polymorph energy (0 for the lowest one)   15 meV per atom

=====

# 9
DFT (PBE) results for an optimized crystal structure of MgCoMoS4.

a = 7.187 Å, b = 7.204 Å, c = 7.204 Å
α = 60.62°, β = 60.06°, γ = 60.06°
Fractional coordinates of all 14 atoms:
Mg 0.872 0.878 0.878
Mg 0.128 0.122 0.122
Co 0.500 0.500 0.500
Co 0.000 0.500 0.500
Mo 0.500 0.500 0.000
Mo 0.500 0.000 0.500
S 0.755 0.728 0.728
S 0.256 0.286 0.702
S 0.256 0.702 0.286
S 0.711 0.272 0.272
S 0.744 0.298 0.714
S 0.289 0.728 0.728
S 0.245 0.272 0.272
S 0.744 0.714 0.298

Size of the total moment   3.0 μB per formula unit
Total energy   -40.01 eV/f.u.

=====

# 10
DFT (PBE) results for an optimized crystal structure of Mg2Co3MoS8.

a = 7.079 Å, b = 7.089 Å, c = 7.081 Å
α = 60.06°, β = 60.01°, γ = 60.05°
Fractional coordinates of all 14 atoms:
Mg 0.875 0.876 0.875
Mg 0.125 0.124 0.125
Co 0.500 0.500 0.500
Co 0.500 0.500 0.000
Co 0.000 0.500 0.500
Mo 0.500 0.000 0.500
S 0.745 0.714 0.745
S 0.255 0.286 0.704
S 0.270 0.691 0.270
S 0.704 0.286 0.255
S 0.730 0.309 0.730
S 0.296 0.714 0.745
S 0.255 0.286 0.255
S 0.745 0.714 0.296

Size of the total moment   3.0 μB per formula unit
Total energy   -76.74 eV/f.u.

=====

# 11
DFT (PBE) results for an optimized crystal structure of Mg2CoN2.

a = 5.469 Å, b = 5.469 Å, c = 6.255 Å
α = 63.42°, β = 63.42°, γ = 46.08°
Fractional coordinates of all 10 atoms:
Mg 0.321 0.321 0.590
Mg 0.679 0.679 0.410
Mg 0.969 0.969 0.747
Mg 0.031 0.031 0.253
Co 0.627 0.627 0.881
Co 0.373 0.373 0.119
N 0.819 0.819 0.606
N 0.181 0.181 0.394
N 0.525 0.525 0.213
N 0.475 0.475 0.787

Size of the total moment   1.0 μB per formula unit
Total energy   -28.94 eV/f.u.

=====

# 12
DFT (PBE) results for an optimized crystal structure of MgCoN2.

a = 5.624 Å, b = 6.399 Å, c = 5.038 Å
α = 90.00°, β = 90.00°, γ = 90.00°
Fractional coordinates of all 16 atoms:
Mg 0.599 0.878 0.993
Mg 0.401 0.122 0.493
Mg 0.901 0.378 0.493
Mg 0.099 0.622 0.993
Co 0.579 0.369 0.004
Co 0.421 0.631 0.504
Co 0.921 0.869 0.504
Co 0.079 0.131 0.004
N 0.555 0.399 0.357
N 0.445 0.601 0.857
N 0.945 0.899 0.857
N 0.055 0.101 0.357
N 0.608 0.853 0.415
N 0.392 0.147 0.915
N 0.892 0.353 0.915
N 0.108 0.647 0.415

Size of the total moment   0.0 μB per formula unit
Total energy   -25.78 eV/f.u.

=====

# 13
DFT (PBE) results for an optimized crystal structure of MgCo5N4.

a = 7.989 Å, b = 5.738 Å, c = 4.404 Å
α = 90.00°, β = 90.00°, γ = 90.00°
Fractional coordinates of all 20 atoms:
Mg 0.750 0.250 0.704
Mg 0.250 0.750 0.296
Co 0.581 0.496 0.266
Co 0.919 0.496 0.266
Co 0.581 0.004 0.266
Co 0.919 0.004 0.266
Co 0.419 0.504 0.734
Co 0.081 0.504 0.734
Co 0.419 0.996 0.734
Co 0.081 0.996 0.734
Co 0.750 0.750 0.706
Co 0.250 0.250 0.294
N 0.750 0.978 0.003
N 0.750 0.522 0.003
N 0.250 0.022 0.997
N 0.250 0.478 0.997
N 0.531 0.750 0.518
N 0.969 0.750 0.518
N 0.469 0.250 0.482
N 0.031 0.250 0.482

Size of the total moment   0.1 μB per formula unit
Total energy   -69.37 eV/f.u.

=====

# 14
DFT (PBE) results for an optimized crystal structure of MgCo2N2.

a = 3.947 Å, b = 3.758 Å, c = 3.520 Å
α = 100.69°, β = 94.25°, γ = 76.21°
Fractional coordinates of all 5 atoms:
Mg 0.948 0.054 0.734
Co 0.566 0.715 0.018
Co 0.345 0.376 0.439
N 0.472 0.877 0.535
N 0.101 0.561 0.977

Size of the total moment   0.0 μB per formula unit
Total energy   -32.21 eV/f.u.
Polymorph energy (0 for the lowest one)   0 meV per atom

=====

# 15
DFT (PBE) results for an optimized crystal structure of MgCoN.

a = 7.665 Å, b = 3.476 Å, c = 5.438 Å
α = 90.00°, β = 90.00°, γ = 90.00°
Fractional coordinates of all 12 atoms:
Mg 0.676 0.250 0.422
Mg 0.176 0.250 0.078
Mg 0.324 0.750 0.578
Mg 0.824 0.750 0.922
Co 0.554 0.250 0.871
Co 0.054 0.250 0.629
Co 0.446 0.750 0.129
Co 0.946 0.750 0.371
N 0.941 0.250 0.277
N 0.441 0.250 0.223
N 0.059 0.750 0.723
N 0.559 0.750 0.777

Size of the total moment   0.0 μB per formula unit
Total energy   -17.51 eV/f.u.

=====

# 16
DFT (PBE) results for an optimized crystal structure of MgCo2N2.

a = 3.464 Å, b = 3.464 Å, c = 5.039 Å
α = 90.00°, β = 90.00°, γ = 90.00°
Fractional coordinates of all 5 atoms:
Mg 0.500 0.500 0.000
Co 0.000 0.000 0.740
Co 0.000 0.000 0.260
N 0.000 0.500 0.261
N 0.500 0.000 0.739

Size of the total moment   0.1 μB per formula unit
Total energy   -31.75 eV/f.u.
Polymorph energy (0 for the lowest one)   92 meV per atom

=====

# 17
DFT (PBE) results for an optimized crystal structure of NaMg14Co.

a = 6.337 Å, b = 6.422 Å, c = 9.967 Å
α = 90.00°, β = 90.00°, γ = 120.44°
Fractional coordinates of all 16 atoms:
Na 0.165 0.833 0.125
Mg 0.167 0.334 0.625
Mg 0.171 0.835 0.625
Mg 0.668 0.338 0.125
Mg 0.665 0.330 0.625
Mg 0.668 0.830 0.125
Mg 0.665 0.835 0.625
Mg 0.326 0.176 0.365
Mg 0.326 0.176 0.885
Mg 0.326 0.650 0.365
Mg 0.326 0.650 0.885
Mg 0.847 0.173 0.361
Mg 0.847 0.173 0.889
Mg 0.830 0.665 0.382
Mg 0.830 0.665 0.868
Co 0.173 0.336 0.125

Size of the total moment   0.0 μB per formula unit
Total energy   -29.13 eV/f.u.
Polymorph energy (0 for the lowest one)   2 meV per atom